# PBE Th2Fe7, relaxed
# Magnetic moment in μB/f.u.: 14.14
# Energy relative to the elements in kJ/mol of atoms: -6.05
# Mass density in g cm⁻³: 10.088
# VASP energy in eV for the cell shown: -298.728
data_Th2Fe7
_cell_length_a 5.1228
_cell_length_b 5.1228
_cell_length_c 24.7700
_cell_angle_alpha 90.00
_cell_angle_beta 90.00
_cell_angle_gamma 120.00
_symmetry_space_group_name_H-M 'P 63/m m c'
_symmetry_Int_Tables_number 194
_symmetry_space_group_name_Hall '-P 6c 2c'
loop_
_atom_site_label
_atom_site_fract_x
_atom_site_fract_y
_atom_site_fract_z
_atom_site_occupancy
Th1 0.3333 0.6667 0.0274 1
Th2 0.3333 0.6667 0.1731 1
Fe1 0.0000 0.0000 0.0000 1
Fe2 0.0000 0.0000 0.1681 1
Fe3 0.1662 0.3324 0.5859 1
Fe4 0.1668 0.3335 0.7500 1
Fe5 0.3333 0.6667 0.6675 1



# PBE Al4B2O9, relaxed
# Energy relative to the elements in kJ/mol of atoms: -314.95
# Mass density in g cm⁻³: 2.862
# VASP energy in eV for the cell shown: -925.223
# Relative energy among the computed polymorphs in meV per atom: 0
data_Al4B2O9
_cell_length_a 14.9751
_cell_length_b 5.5927
_cell_length_c 15.1648
_cell_angle_alpha 90.00
_cell_angle_beta 91.20
_cell_angle_gamma 90.00
_symmetry_space_group_name_H-M 'C 1 2/m 1'
_symmetry_Int_Tables_number 12
_symmetry_space_group_name_Hall '-C 2y'
loop_
_atom_site_label
_atom_site_fract_x
_atom_site_fract_y
_atom_site_fract_z
_atom_site_occupancy
Al1 0.0000 0.2436 0.2439 1
Al2 0.0704 0.0000 0.0684 1
Al3 0.1347 0.5000 0.6595 1
Al4 0.1733 0.0000 0.3391 1
Al5 0.1888 0.5000 0.8414 1
Al6 0.2500 0.2500 0.0000 1
Al7 0.2500 0.2500 0.5000 1
B1 0.1028 0.5000 0.1035 1
B2 0.1093 0.0000 0.6104 1
B3 0.1220 0.0000 0.8835 1
B4 0.1335 0.5000 0.3639 1
O1 0.0555 0.0000 0.9513 1
O2 0.0666 0.2847 0.1347 1
O3 0.0689 0.5000 0.2990 1
O4 0.0719 0.0000 0.2820 1
O5 0.0720 0.0000 0.7998 1
O6 0.0771 0.2156 0.6428 1
O7 0.0778 0.5000 0.7753 1
O8 0.1683 0.2870 0.3976 1
O9 0.1691 0.5000 0.0429 1
O10 0.1751 0.0000 0.5470 1
O11 0.1791 0.2175 0.8945 1
O12 0.1964 0.0000 0.0618 1
O13 0.2046 0.5000 0.5628 1
O14 0.2354 0.5000 0.7321 1



# PBE NdIr5, relaxed
# Magnetic moment in μB/f.u.: 0.00
# Energy relative to the elements in kJ/mol of atoms: -26.84
# Mass density in g cm⁻³: 17.042
# VASP energy in eV for the cell shown: -50.629
data_NdIr5
_cell_length_a 5.3599
_cell_length_b 5.3599
_cell_length_c 4.3289
_cell_angle_alpha 90.00
_cell_angle_beta 90.00
_cell_angle_gamma 120.00
_symmetry_space_group_name_H-M 'P 6/m m m'
_symmetry_Int_Tables_number 191
_symmetry_space_group_name_Hall '-P 6 2'
loop_
_atom_site_label
_atom_site_fract_x
_atom_site_fract_y
_atom_site_fract_z
_atom_site_occupancy
Nd1 0.0000 0.0000 0.0000 1
Ir1 0.0000 0.5000 0.5000 1
Ir2 0.3333 0.6667 0.0000 1



# PBE MgAl4H12O12, relaxed
# Magnetic moment in μB/f.u.: 0.00
# Energy relative to the elements in kJ/mol of atoms: -191.42
# Mass density in g cm⁻³: 2.452
# VASP energy in eV for the cell shown: -165.961
# Relative energy among the computed polymorphs in meV per atom: 11
data_MgAl4H12O12
_cell_length_a 5.1799
_cell_length_b 7.0215
_cell_length_c 7.0895
_cell_angle_alpha 80.04
_cell_angle_beta 70.18
_cell_angle_gamma 70.24
_symmetry_space_group_name_H-M 'P 1'
_symmetry_Int_Tables_number 1
_symmetry_space_group_name_Hall 'P 1'
loop_
_atom_site_label
_atom_site_fract_x
_atom_site_fract_y
_atom_site_fract_z
_atom_site_occupancy
Mg1 0.0000 0.0000 0.0000 1
Al1 0.4007 0.2763 0.8817 1
Al2 0.4333 0.9008 0.2133 1
Al3 0.8920 0.4446 0.7214 1
Al4 0.9629 0.7472 0.3720 1
H1 0.0315 0.2585 0.2401 1
H2 0.1460 0.6406 0.8292 1
H3 0.1743 0.8572 0.5926 1
H4 0.2158 0.8130 0.7690 1
H5 0.2447 0.0933 0.6537 1
H6 0.2632 0.3822 0.3596 1
H7 0.4798 0.5320 0.0368 1
H8 0.5054 0.7605 0.6919 1
H9 0.5720 0.4201 0.5360 1
H10 0.6384 0.1204 0.3803 1
H11 0.6969 0.9029 0.8237 1
H12 0.8547 0.5942 0.1231 1
O1 0.0912 0.5096 0.8722 1
O2 0.1479 0.8971 0.4547 1
O3 0.1551 0.4809 0.4602 1
O4 0.1664 0.1827 0.7640 1
O5 0.1861 0.1750 0.1378 1
O6 0.2445 0.7699 0.1287 1
O7 0.6038 0.4012 0.9706 1
O8 0.6454 0.9982 0.9290 1
O9 0.6692 0.3245 0.6268 1
O10 0.6808 0.0081 0.2999 1
O11 0.7241 0.7191 0.6480 1
O12 0.7403 0.6671 0.2468 1



# PBE Sr5Sn3, relaxed
# Energy relative to the elements in kJ/mol of atoms: -61.14
# Mass density in g cm⁻³: 4.296
# VASP energy in eV for the cell shown: -102.181
data_Sr5Sn3
_cell_length_a 8.6287
_cell_length_b 8.6287
_cell_length_c 16.4923
_cell_angle_alpha 90.00
_cell_angle_beta 90.00
_cell_angle_gamma 90.00
_symmetry_space_group_name_H-M 'I 4/m c m'
_symmetry_Int_Tables_number 140
_symmetry_space_group_name_Hall '-I 4 2c'
loop_
_atom_site_label
_atom_site_fract_x
_atom_site_fract_y
_atom_site_fract_z
_atom_site_occupancy
Sr1 0.0000 0.0000 0.0000 1
Sr2 0.1759 0.3241 0.1412 1
Sn1 0.0000 0.0000 0.2500 1
Sn2 0.1212 0.3788 0.5000 1



# PBE Sb2Te2O9, relaxed
# Energy relative to the elements in kJ/mol of atoms: -161.49
# Mass density in g cm⁻³: 5.476
# VASP energy in eV for the cell shown: -597.215
# Relative energy among the computed polymorphs in meV per atom: 0
data_Sb2Te2O9
_cell_length_a 22.4751
_cell_length_b 4.9618
_cell_length_c 14.8040
_cell_angle_alpha 90.00
_cell_angle_beta 109.19
_cell_angle_gamma 90.00
_symmetry_space_group_name_H-M 'P 1 21/c 1'
_symmetry_Int_Tables_number 14
_symmetry_space_group_name_Hall '-P 2ybc'
loop_
_atom_site_label
_atom_site_fract_x
_atom_site_fract_y
_atom_site_fract_z
_atom_site_occupancy
Sb1 0.0523 0.1988 0.3320 1
Sb2 0.1528 0.6945 0.4890 1
Sb3 0.3440 0.2160 0.3341 1
Sb4 0.4459 0.7148 0.2802 1
Te1 0.0571 0.1515 0.1115 1
Te2 0.2251 0.6647 0.3121 1
Te3 0.2655 0.1578 0.5794 1
Te4 0.4395 0.6622 0.0535 1
O1 0.0084 0.1231 0.9184 1
O2 0.0265 0.0179 0.7292 1
O3 0.0745 0.6012 0.9252 1
O4 0.0954 0.0448 0.2431 1
O5 0.1181 0.5866 0.5906 1
O6 0.1331 0.1096 0.8989 1
O7 0.1853 0.0140 0.5739 1
O8 0.2073 0.6539 0.9161 1
O9 0.2367 0.5195 0.5721 1
O10 0.2676 0.5294 0.7918 1
O11 0.2915 0.0852 0.7148 1
O12 0.2934 0.0436 0.8958 1
O13 0.3769 0.0680 0.4656 1
O14 0.3822 0.0028 0.2561 1
O15 0.3989 0.5691 0.1463 1
O16 0.4094 0.5017 0.3627 1
O17 0.4903 0.5880 0.7000 1
O18 0.4972 0.6167 0.9091 1



# PBE Tb5Ga3, relaxed
# Energy relative to the elements in kJ/mol of atoms: -46.10
# Mass density in g cm⁻³: 7.945
# VASP energy in eV for the cell shown: -144.315
data_Tb5Ga3
_cell_length_a 7.7007
_cell_length_b 7.7007
_cell_length_c 14.1512
_cell_angle_alpha 90.00
_cell_angle_beta 90.00
_cell_angle_gamma 90.00
_symmetry_space_group_name_H-M 'I 4/m c m'
_symmetry_Int_Tables_number 140
_symmetry_space_group_name_Hall '-I 4 2c'
loop_
_atom_site_label
_atom_site_fract_x
_atom_site_fract_y
_atom_site_fract_z
_atom_site_occupancy
Tb1 0.0000 0.0000 0.0000 1
Tb2 0.1702 0.3298 0.1475 1
Ga1 0.0000 0.0000 0.2500 1
Ga2 0.1219 0.3781 0.5000 1



# PBE Ca3SiBr2, relaxed
# Magnetic moment in μB/f.u.: 0.06
# Energy relative to the elements in kJ/mol of atoms: -121.03
# Mass density in g cm⁻³: 2.379
# VASP energy in eV for the cell shown: -42.349
# Relative energy among the computed polymorphs in meV per atom: 151
data_Ca3SiBr2
_cell_length_a 8.0451
_cell_length_b 4.4380
_cell_length_c 12.4000
_cell_angle_alpha 90.00
_cell_angle_beta 103.70
_cell_angle_gamma 90.00
_symmetry_space_group_name_H-M 'C 1 m 1'
_symmetry_Int_Tables_number 8
_symmetry_space_group_name_Hall 'C -2y'
loop_
_atom_site_label
_atom_site_fract_x
_atom_site_fract_y
_atom_site_fract_z
_atom_site_occupancy
Ca1 0.0000 0.0000 0.0000 1
Ca2 0.0353 0.5000 0.6126 1
Ca3 0.4217 0.0000 0.2110 1
Si1 0.2106 0.5000 0.1057 1
Br1 0.1600 0.0000 0.4893 1
Br2 0.4102 0.5000 0.7336 1



Q: Look up the energy relative to the elements of the eighth one.
A: -121.03 kJ/mol of atoms